The following is a DFT calculation (PBE-GGA) of an optimized crystal structure of La2Ge5Ir3.

Properties
space group = Ibam
formation energy from the elements = -0.782 eV per atom

a = 8.551 Å, b = 8.551 Å, c = 8.551 Å
α = 137.75°, β = 105.71°, γ = 89.37°
Atoms (fractional coordinates):
Ge 0.727 0.977 0.250
Ge 0.000 0.750 0.750
Ge 0.727 0.477 0.750
Ge 0.556 0.898 0.657
Ge 0.273 0.523 0.250
Ge 0.000 0.250 0.250
Ge 0.241 0.398 0.843
Ge 0.444 0.102 0.343
Ge 0.759 0.602 0.157
Ge 0.273 0.023 0.750
Ir 0.970 0.360 0.610
Ir 0.750 0.860 0.890
Ir 0.030 0.640 0.390
Ir 0.250 0.140 0.110
Ir 0.500 0.750 0.250
Ir 0.500 0.250 0.750
La 0.363 0.632 0.731
La 0.637 0.368 0.269
La 0.901 0.132 0.769
La 0.099 0.868 0.231